Version 1
Computed, not measured: a relaxed Na3CoO3 crystal at the GGA+U level of DFT.

```
28
Lattice="0.000 0.000 4.779 0.000 10.279 0.000 -8.390 0.000 0.000" Properties=species:S:1:pos:R:3 pbc="T T T"
Na -2.310 6.260 3.584
Na -6.080 6.260 3.584
Na 0.000 6.162 1.195
Na -4.195 9.256 3.584
Na 0.000 4.117 3.584
Na -1.885 1.120 3.584
Na -6.080 4.019 1.195
Na -1.885 9.158 1.195
Na -6.505 9.158 1.195
Na -2.310 4.019 1.195
Na -6.505 1.120 3.584
Na -4.195 1.023 1.195
Co -4.195 7.169 1.195
Co 0.000 8.249 3.584
Co 0.000 2.029 1.195
Co -4.195 3.110 3.584
O -1.595 1.268 1.195
O -2.600 6.407 1.195
O -5.790 6.407 1.195
O -6.794 1.268 1.195
O 0.000 6.457 3.584
O -4.195 8.961 1.195
O -4.195 1.318 3.584
O -6.795 9.011 3.584
O -5.790 3.871 3.584
O -1.595 9.011 3.584
O -2.600 3.871 3.584
O 0.000 3.821 1.195
```

Version 2
Computed, not measured: a relaxed Na3CoO3 crystal at the GGA+U level of DFT.

```
28
Lattice="-1.897 2.255 9.168 4.349 -4.330 1.965 6.453 2.307 0.768" Properties=species:S:1:pos:R:3 pbc="T T T"
Co 4.219 2.531 10.231
Co 7.291 -0.701 6.874
Co 4.687 -2.299 1.670
Co 1.614 0.933 5.027
Na 4.947 1.930 6.192
Na 0.727 -0.388 7.429
Na 6.392 0.631 10.698
Na 4.192 0.611 3.557
Na 3.959 -1.698 5.709
Na 2.422 1.925 7.926
Na 2.513 -0.399 1.204
Na 6.483 -1.693 3.976
Na 4.713 -0.379 8.344
Na 2.751 -2.373 9.143
Na 6.155 2.605 2.758
Na 8.178 0.620 4.473
O 4.282 -0.990 10.696
O 8.747 -1.340 6.087
O 7.197 -0.453 8.641
O 1.801 0.040 9.368
O 4.624 1.222 1.205
O 1.709 0.685 3.261
O 7.104 0.192 2.533
O 6.056 -0.060 5.777
O 0.159 1.572 5.814
O 4.817 1.955 8.649
O 4.089 -1.723 3.252
O 2.850 0.292 6.124
```

Calculated values
Magnetic moment in μB/f.u.: 4.00

Version 3
Computed, not measured: a relaxed Na3CoO3 crystal at the GGA+U level of DFT.

```
28
Lattice="7.517 0.000 0.000 0.000 7.517 0.000 0.000 0.000 7.517" Properties=species:S:1:pos:R:3 pbc="T T T"
O 3.770 2.078 4.501
O 2.078 4.501 3.769
O 6.775 3.747 5.837
O 3.748 5.836 6.774
O 0.743 7.506 5.439
O 7.506 5.439 0.743
O 5.439 0.743 7.506
O 1.680 3.016 0.011
O 5.837 6.775 3.747
O 0.011 1.680 3.016
O 4.501 3.770 2.078
O 3.016 0.011 1.680
Co 7.355 0.162 3.921
Co 3.921 7.355 0.162
Co 3.596 3.596 3.596
Co 0.163 3.920 7.355
Na 0.246 0.246 0.246
Na 3.513 7.271 4.004
Na 4.005 3.513 7.271
Na 2.007 2.007 2.007
Na 5.355 1.597 2.162
Na 5.921 5.921 5.920
Na 7.271 4.005 3.513
Na 2.162 5.355 1.596
Na 1.597 2.162 5.355
Na 5.765 1.752 5.510
Na 5.510 5.765 1.752
Na 1.752 5.510 5.765
```

Calculated values
Magnetic moment in μB/f.u.: 4.00
Piezoelectric modulus e_max in C/m2: 1.94

Version 4
Computed, not measured: a relaxed Na3CoO3 crystal at the GGA+U level of DFT.

```
28
Lattice="6.005 0.000 0.000 0.000 6.678 0.000 0.000 0.619 9.647" Properties=species:S:1:pos:R:3 pbc="T T T"
Co 0.588 5.854 5.445
Co 2.415 5.545 0.622
Co 3.590 1.752 9.026
Co 5.417 1.442 4.202
Na 1.782 2.831 5.591
Na 5.166 6.236 1.458
Na 2.164 0.751 3.366
Na 4.784 4.776 8.880
Na 3.841 6.545 6.282
Na 4.315 2.474 1.843
Na 1.221 2.521 0.767
Na 1.312 4.513 2.980
Na 0.838 1.061 8.189
Na 4.223 4.466 4.056
Na 1.690 4.823 7.804
Na 4.692 2.783 6.667
O 0.209 1.049 5.956
O 3.737 2.014 4.568
O 2.794 0.740 1.132
O 0.735 4.974 0.256
O 2.268 5.283 5.079
O 5.270 2.323 9.391
O 3.211 6.557 8.515
O 5.796 6.248 3.691
O 5.596 4.817 6.536
O 0.408 2.479 3.111
O 2.594 2.789 7.935
O 3.411 4.508 1.712
```

version 4 (7 meV per atom below the next structure)

Version 1
Computed, not measured: a relaxed Na3CoO3 crystal at the GGA+U level of DFT.

```
28
Lattice="-2.699 -5.310 9.241 3.827 -1.004 0.541 3.430 7.825 5.498" Properties=species:S:1:pos:R:3 pbc="T T T"
Co 0.730 0.083 4.320
Co 2.771 4.636 5.954
Co 3.829 1.428 10.960
Co 1.788 -3.125 9.326
O 2.864 1.045 12.407
O 2.702 4.011 4.289
O 0.130 -1.586 4.472
O 2.862 6.369 6.296
O 4.428 3.097 10.808
O 4.019 0.247 9.657
O 2.931 3.437 7.261
O 0.540 1.263 5.623
O 1.627 -1.926 8.019
O 1.857 -2.500 10.991
O 1.695 0.466 2.873
O 1.697 -4.858 8.984
Na 0.078 -0.282 7.322
Na 2.340 2.644 2.399
Na -0.097 -4.432 7.494
Na 1.725 -0.310 9.878
Na 0.824 1.724 13.391
Na 4.655 5.943 7.786
Na 2.834 1.820 5.402
Na 3.735 -0.213 1.889
Na 2.787 4.061 9.492
Na 4.480 1.792 7.958
Na 2.219 -1.134 12.881
Na 1.772 -2.550 5.788
```

Version 2
Computed, not measured: a relaxed Na3CoO3 crystal at the GGA+U level of DFT.

```
14
Lattice="-5.788 0.000 0.000 0.484 5.923 0.000 -0.081 -2.754 -5.782" Properties=species:S:1:pos:R:3 pbc="T T T"
Na -0.797 -1.308 -5.653
Na -5.098 3.027 -3.207
Na -4.588 4.477 -0.129
Na -3.155 0.815 -1.478
Na -2.230 2.354 -4.303
Na -0.287 0.142 -2.575
O -1.257 2.193 -1.989
O -0.995 5.067 -0.580
O -4.127 0.976 -3.793
O -3.585 4.433 -2.165
O -1.800 -1.264 -3.617
O -4.390 -1.898 -5.202
Co -3.672 -0.768 -3.979
Co -1.712 3.937 -1.803
```

version 2 (18 meV per atom below the next structure)

Version 1
Computed, not measured: a relaxed Na4MgMo2O8 crystal at the GGA+U level of DFT.

```
15
Lattice="5.755 0.000 3.323 1.800 5.485 3.528 -0.067 0.204 6.762" Properties=species:S:1:pos:R:3 pbc="T T T"
O 1.775 1.527 6.893
O 2.749 4.282 5.206
O 5.756 3.969 9.805
O 5.610 4.376 6.897
O 3.018 3.969 8.224
O 4.307 1.697 5.258
O 1.926 1.697 3.883
O 4.603 1.528 8.641
Na 0.021 0.195 3.285
Na 2.161 5.296 9.896
Na 4.737 5.296 11.383
Na 0.874 2.607 1.808
Mo 4.775 3.421 8.343
Mo 2.552 2.495 5.548
Mg 3.697 0.876 3.565
```

Calculated values
Magnetic moment in μB/f.u.: 2.00

Version 2
Computed, not measured: a relaxed Na4MgMo2O8 crystal at the GGA+U level of DFT.

```
15
Lattice="-0.248 -6.672 -1.239 4.280 -2.600 -4.245 4.878 -3.815 2.179" Properties=species:S:1:pos:R:3 pbc="T T T"
Na 0.000 0.000 0.000
Na 2.439 -1.908 1.089
Na 2.140 -1.300 -2.122
Na -0.124 -3.336 -0.619
O 4.469 -5.115 0.025
O 4.218 -4.605 -2.672
O 6.489 -9.574 -2.415
O 2.421 -3.514 -0.890
O 2.017 -6.727 -1.460
O 6.893 -6.361 -1.845
O 4.692 -8.483 -0.633
O 4.441 -7.973 -3.330
Mg 4.579 -3.208 -1.033
Mo 3.083 -5.263 -1.282
Mo 5.828 -7.824 -2.022
```

Calculated values
Magnetic moment in μB/f.u.: 2.00

version 1 (139 meV per atom below the next structure)

Version 1
Computed, not measured: a relaxed V4O5F7 crystal at the GGA+U level of DFT.

```
16
Lattice="-5.316 0.000 0.000 -2.658 -4.629 -0.049 0.000 -2.689 8.488" Properties=species:S:1:pos:R:3 pbc="T T T"
V -5.266 -5.910 4.191
V -2.879 -4.651 0.061
V -2.879 -4.310 6.231
V -5.266 -3.051 2.101
F -2.181 -5.825 7.390
F -1.060 -2.280 3.556
F -6.905 -3.914 1.315
F -3.718 -2.052 2.786
F -1.030 -3.384 7.048
F -3.688 -3.637 7.781
F -6.905 -5.047 4.977
O -4.954 -4.480 3.146
O -3.046 -2.892 5.313
O -4.157 -5.248 5.665
O -4.157 -3.713 0.627
O -5.704 -1.440 1.028
```

Calculated values
Magnetic moment in μB/f.u.: 3.00

Version 2
Computed, not measured: a relaxed V4O5F7 crystal at the GGA+U level of DFT.

```
16
Lattice="-4.520 -0.384 2.547 2.673 -0.200 4.674 -0.449 7.490 0.263" Properties=species:S:1:pos:R:3 pbc="T T T"
F 0.640 3.824 4.511
F -0.637 1.571 3.407
F -1.741 5.091 7.151
F 2.076 1.639 4.895
F -2.794 0.054 3.354
F -0.479 3.904 2.047
F 0.505 6.942 4.022
O -1.613 5.379 3.998
O -2.918 3.126 2.932
O -1.804 3.037 5.392
O -1.160 7.053 1.925
O -1.134 -0.121 5.462
V -4.580 3.329 2.657
V -0.542 7.440 0.441
V -1.431 7.056 4.090
V -1.205 3.412 3.848
```

version 2 (25 meV per atom below the next structure)